Record 1
Here is an optimized crystal structure of ZnCo2O5 from the Materials Project. Energies are from GGA+U.

Structure (CIF):
```
data_ZnCo2O5
_chemical_formula_sum 'Zn2 Co4 O10'
_cell_length_a 5.363
_cell_length_b 5.363
_cell_length_c 11.460
_cell_angle_alpha 90.00
_cell_angle_beta 90.00
_cell_angle_gamma 141.00
_symmetry_space_group_name_H-M 'P 1'
_symmetry_Int_Tables_number 1
_symmetry_space_group_name_Hall 'P 1'
loop_
_atom_site_label
_atom_site_type_symbol
_atom_site_fract_x
_atom_site_fract_y
_atom_site_fract_z
Co1 Co 0.208 0.792 0.099
Co2 Co 0.792 0.208 0.901
Co3 Co 0.208 0.792 0.401
Co4 Co 0.792 0.208 0.599
O1 O 0.300 0.700 0.250
O2 O 0.700 0.300 0.750
O3 O 0.956 0.044 0.630
O4 O 0.234 0.766 0.577
O5 O 0.044 0.956 0.370
O6 O 0.234 0.766 0.923
O7 O 0.956 0.044 0.870
O8 O 0.766 0.234 0.423
O9 O 0.044 0.956 0.130
O10 O 0.766 0.234 0.077
Zn1 Zn 0.098 0.902 0.750
Zn2 Zn 0.902 0.098 0.250
```

symmetry: Cmcm (63)
E_form: -1064 meV per atom

Record 2
Here is an optimized crystal structure of V3Cd5O12 from the Materials Project. Energies are from GGA+U.

Structure (CIF):
```
data_V3Cd5O12
_chemical_formula_sum 'V6 Cd10 O24'
_cell_length_a 9.458
_cell_length_b 9.458
_cell_length_c 7.148
_cell_angle_alpha 73.67
_cell_angle_beta 73.67
_cell_angle_gamma 94.22
_symmetry_space_group_name_H-M 'P 1'
_symmetry_Int_Tables_number 1
_symmetry_space_group_name_Hall 'P 1'
loop_
_atom_site_label
_atom_site_type_symbol
_atom_site_fract_x
_atom_site_fract_y
_atom_site_fract_z
O1 O 0.531 0.708 0.198
O2 O 0.846 0.852 0.106
O3 O 0.521 0.282 0.232
O4 O 0.815 0.269 0.029
O5 O 0.148 0.154 0.394
O6 O 0.154 0.148 0.894
O7 O 0.852 0.846 0.606
O8 O 0.039 0.399 0.181
O9 O 0.666 0.009 0.899
O10 O 0.991 0.334 0.601
O11 O 0.399 0.039 0.681
O12 O 0.731 0.185 0.471
O13 O 0.269 0.815 0.529
O14 O 0.185 0.731 0.971
O15 O 0.334 0.991 0.101
O16 O 0.479 0.718 0.768
O17 O 0.718 0.479 0.268
O18 O 0.009 0.666 0.399
O19 O 0.282 0.521 0.732
O20 O 0.469 0.292 0.802
O21 O 0.292 0.469 0.302
O22 O 0.708 0.531 0.698
O23 O 0.601 0.961 0.319
O24 O 0.961 0.601 0.819
V1 V 0.121 0.342 0.369
V2 V 0.702 0.298 0.250
V3 V 0.342 0.121 0.869
V4 V 0.298 0.702 0.750
V5 V 0.879 0.658 0.631
V6 V 0.658 0.879 0.131
Cd1 Cd 0.990 0.010 0.250
Cd2 Cd 0.631 0.939 0.635
Cd3 Cd 0.500 0.500 0.000
Cd4 Cd 0.369 0.061 0.365
Cd5 Cd 0.061 0.369 0.865
Cd6 Cd 0.730 0.270 0.750
Cd7 Cd 0.500 0.500 0.500
Cd8 Cd 0.939 0.631 0.135
Cd9 Cd 0.010 0.990 0.750
Cd10 Cd 0.270 0.730 0.250
```

symmetry: C2/c (15)
E_form: -1885 meV per atom

Record 3
Here is an optimized crystal structure of Li5Nb2Fe3O10 from the Materials Project. Energies are from GGA+U.

Structure (CIF):
```
data_Li5Nb2Fe3O10
_chemical_formula_sum 'Li10 Nb4 Fe6 O20'
_cell_length_a 5.279
_cell_length_b 8.003
_cell_length_c 10.662
_cell_angle_alpha 108.81
_cell_angle_beta 99.48
_cell_angle_gamma 71.85
_symmetry_space_group_name_H-M 'P 1'
_symmetry_Int_Tables_number 1
_symmetry_space_group_name_Hall 'P 1'
loop_
_atom_site_label
_atom_site_type_symbol
_atom_site_fract_x
_atom_site_fract_y
_atom_site_fract_z
Li1 Li 0.493 0.203 0.300
Li2 Li 0.505 0.797 0.199
Li3 Li 0.505 0.798 0.701
Li4 Li 0.515 0.399 0.614
Li5 Li 0.001 0.499 0.248
Li6 Li 0.999 0.502 0.750
Li7 Li 0.485 0.601 0.386
Li8 Li 0.492 0.205 0.801
Li9 Li 0.515 0.400 0.113
Li10 Li 0.486 0.601 0.887
O1 O 0.238 0.455 0.922
O2 O 0.238 0.245 0.609
O3 O 0.757 0.352 0.788
O4 O 0.761 0.756 0.392
O5 O 0.244 0.840 0.525
O6 O 0.755 0.750 0.893
O7 O 0.763 0.545 0.577
O8 O 0.236 0.842 0.021
O9 O 0.764 0.544 0.079
O10 O 0.239 0.453 0.422
O11 O 0.759 0.352 0.288
O12 O 0.238 0.245 0.110
O13 O 0.757 0.159 0.974
O14 O 0.774 0.937 0.672
O15 O 0.757 0.158 0.475
O16 O 0.767 0.940 0.168
O17 O 0.242 0.648 0.211
O18 O 0.234 0.652 0.712
O19 O 0.242 0.067 0.832
O20 O 0.235 0.060 0.332
Nb1 Nb 0.013 0.687 0.051
Nb2 Nb 0.981 0.310 0.448
Nb3 Nb 0.020 0.686 0.550
Nb4 Nb 0.985 0.310 0.945
Fe1 Fe 0.502 0.000 0.999
Fe2 Fe 0.003 0.104 0.654
Fe3 Fe 0.001 0.105 0.153
Fe4 Fe 0.501 0.000 0.501
Fe5 Fe 0.999 0.896 0.346
Fe6 Fe 0.997 0.900 0.850
```

symmetry: P1 (1)
E_form: -2290 meV per atom

Record 4
Here is an optimized crystal structure of V3Sb2P6O24 from the Materials Project. Energies are from GGA+U.

Structure (CIF):
```
data_V3Sb2P6O24
_chemical_formula_sum 'V3 Sb2 P6 O24'
_cell_length_a 8.980
_cell_length_b 8.627
_cell_length_c 8.627
_cell_angle_alpha 60.00
_cell_angle_beta 61.29
_cell_angle_gamma 61.29
_symmetry_space_group_name_H-M 'P 1'
_symmetry_Int_Tables_number 1
_symmetry_space_group_name_Hall 'P 1'
loop_
_atom_site_label
_atom_site_type_symbol
_atom_site_fract_x
_atom_site_fract_y
_atom_site_fract_z
O1 O 0.272 0.062 0.713
O2 O 0.566 0.779 0.635
O3 O 0.566 0.635 0.021
O4 O 0.756 0.428 0.239
O5 O 0.744 0.297 0.039
O6 O 0.195 0.756 0.401
O7 O 0.756 0.578 0.428
O8 O 0.566 0.021 0.779
O9 O 0.906 0.662 0.534
O10 O 0.272 0.953 0.062
O11 O 0.441 0.395 0.889
O12 O 0.195 0.401 0.648
O13 O 0.906 0.898 0.662
O14 O 0.441 0.889 0.274
O15 O 0.756 0.239 0.578
O16 O 0.109 0.293 0.488
O17 O 0.195 0.648 0.756
O18 O 0.272 0.713 0.953
O19 O 0.109 0.488 0.109
O20 O 0.109 0.109 0.293
O21 O 0.906 0.534 0.898
O22 O 0.441 0.274 0.395
O23 O 0.744 0.039 0.920
O24 O 0.744 0.920 0.297
P1 P 0.740 0.042 0.740
P2 P 0.270 0.256 0.550
P3 P 0.270 0.550 0.924
P4 P 0.270 0.924 0.256
P5 P 0.740 0.740 0.478
P6 P 0.740 0.478 0.042
Sb1 Sb 0.553 0.482 0.482
Sb2 Sb 0.896 0.035 0.035
V1 V 0.424 0.859 0.859
V2 V 0.003 0.332 0.332
V3 V 0.052 0.649 0.649
```

symmetry: R3 (146)
E_form: -2405 meV per atom

Record 5
Here is an optimized crystal structure of V2CoO4 from the Materials Project. Energies are from GGA+U.

Structure (CIF):
```
data_V2CoO4
_chemical_formula_sum 'V4 Co2 O8'
_cell_length_a 6.018
_cell_length_b 6.046
_cell_length_c 6.067
_cell_angle_alpha 119.89
_cell_angle_beta 119.96
_cell_angle_gamma 90.00
_symmetry_space_group_name_H-M 'P 1'
_symmetry_Int_Tables_number 1
_symmetry_space_group_name_Hall 'P 1'
loop_
_atom_site_label
_atom_site_type_symbol
_atom_site_fract_x
_atom_site_fract_y
_atom_site_fract_z
V1 V 0.500 0.000 0.000
V2 V 0.500 0.500 0.000
V3 V 0.000 0.500 0.500
V4 V 0.500 0.500 0.500
O1 O 0.257 0.739 0.518
O2 O 0.257 0.279 0.518
O3 O 0.263 0.743 0.985
O4 O 0.737 0.257 0.015
O5 O 0.717 0.738 0.976
O6 O 0.743 0.721 0.482
O7 O 0.743 0.261 0.482
O8 O 0.283 0.262 0.024
Co1 Co 0.873 0.124 0.749
Co2 Co 0.127 0.876 0.251
```

symmetry: C2/m (12)
E_form: -2227 meV per atom

Record 6
Here is an optimized crystal structure of Na2CoP2O7 from the Materials Project. Energies are from GGA+U.

Structure (CIF):
```
data_Na2CoP2O7
_chemical_formula_sum 'Na8 Co4 P8 O28'
_cell_length_a 8.026
_cell_length_b 11.513
_cell_length_c 8.269
_cell_angle_alpha 106.24
_cell_angle_beta 113.57
_cell_angle_gamma 70.82
_symmetry_space_group_name_H-M 'P 1'
_symmetry_Int_Tables_number 1
_symmetry_space_group_name_Hall 'P 1'
loop_
_atom_site_label
_atom_site_type_symbol
_atom_site_fract_x
_atom_site_fract_y
_atom_site_fract_z
O1 O 0.763 0.445 0.007
O2 O 0.238 0.762 0.750
O3 O 0.081 0.139 0.205
O4 O 0.248 0.972 0.706
O5 O 0.951 0.841 0.493
O6 O 0.039 0.334 0.897
O7 O 0.237 0.555 0.993
O8 O 0.581 0.639 0.204
O9 O 0.480 0.147 0.603
O10 O 0.980 0.647 0.603
O11 O 0.252 0.529 0.294
O12 O 0.520 0.853 0.397
O13 O 0.262 0.738 0.250
O14 O 0.919 0.861 0.795
O15 O 0.752 0.028 0.294
O16 O 0.450 0.342 0.494
O17 O 0.961 0.666 0.103
O18 O 0.748 0.471 0.706
O19 O 0.419 0.361 0.796
O20 O 0.263 0.945 0.008
O21 O 0.020 0.353 0.397
O22 O 0.762 0.238 0.250
O23 O 0.539 0.834 0.897
O24 O 0.738 0.262 0.750
O25 O 0.550 0.658 0.506
O26 O 0.737 0.055 0.992
O27 O 0.461 0.166 0.103
O28 O 0.049 0.159 0.507
Na1 Na 0.416 0.045 0.300
Na2 Na 0.584 0.955 0.700
Na3 Na 0.915 0.545 0.300
Na4 Na 0.775 0.685 0.800
Na5 Na 0.725 0.815 0.200
Na6 Na 0.225 0.315 0.200
Na7 Na 0.085 0.455 0.700
Na8 Na 0.275 0.185 0.800
P1 P 0.829 0.383 0.845
P2 P 0.671 0.117 0.155
P3 P 0.488 0.723 0.345
P4 P 0.329 0.883 0.845
P5 P 0.171 0.617 0.155
P6 P 0.512 0.277 0.655
P7 P 0.012 0.777 0.655
P8 P 0.988 0.223 0.345
Co1 Co 0.500 0.500 0.000
Co2 Co 0.500 0.500 0.500
Co3 Co 0.000 0.000 0.000
Co4 Co 0.000 0.000 0.500
```

symmetry: P-1 (2)
E_form: -2448 meV per atom

Record 7
Here is an optimized crystal structure of Sr4CaYCo2Cu4O14 from the Materials Project. Energies are from GGA+U.

Structure (CIF):
```
data_Sr4CaYCo2Cu4O14
_chemical_formula_sum 'Sr4 Ca1 Y1 Co2 Cu4 O14'
_cell_length_a 5.439
_cell_length_b 5.455
_cell_length_c 12.248
_cell_angle_alpha 102.87
_cell_angle_beta 102.87
_cell_angle_gamma 89.60
_symmetry_space_group_name_H-M 'P 1'
_symmetry_Int_Tables_number 1
_symmetry_space_group_name_Hall 'P 1'
loop_
_atom_site_label
_atom_site_type_symbol
_atom_site_fract_x
_atom_site_fract_y
_atom_site_fract_z
Co1 Co 0.814 0.190 0.500
Co2 Co 0.186 0.810 0.500
O1 O 0.180 0.691 0.870
O2 O 0.692 0.179 0.869
O3 O 0.820 0.309 0.130
O4 O 0.336 0.800 0.648
O5 O 0.664 0.200 0.352
O6 O 0.175 0.170 0.502
O7 O 0.693 0.692 0.876
O8 O 0.307 0.308 0.124
O9 O 0.820 0.821 0.134
O10 O 0.180 0.179 0.866
O11 O 0.809 0.344 0.647
O12 O 0.825 0.830 0.498
O13 O 0.308 0.821 0.131
O14 O 0.191 0.656 0.353
Cu1 Cu 0.573 0.073 0.149
Cu2 Cu 0.072 0.574 0.148
Cu3 Cu 0.928 0.426 0.852
Cu4 Cu 0.427 0.927 0.851
Sr1 Sr 0.361 0.363 0.700
Sr2 Sr 0.639 0.637 0.300
Sr3 Sr 0.843 0.839 0.698
Sr4 Sr 0.157 0.161 0.302
Y1 Y 0.000 0.000 0.000
Ca1 Ca 0.500 0.500 0.000
```

symmetry: P-1 (2)
E_form: -2194 meV per atom

Record 8
Here is an optimized crystal structure of FeOF from the Materials Project. Energies are from GGA+U.

Structure (CIF):
```
data_FeOF
_chemical_formula_sum 'Fe8 O8 F8'
_cell_length_a 4.778
_cell_length_b 4.778
_cell_length_c 12.217
_cell_angle_alpha 90.00
_cell_angle_beta 90.00
_cell_angle_gamma 89.95
_symmetry_space_group_name_H-M 'P 1'
_symmetry_Int_Tables_number 1
_symmetry_space_group_name_Hall 'P 1'
loop_
_atom_site_label
_atom_site_type_symbol
_atom_site_fract_x
_atom_site_fract_y
_atom_site_fract_z
Fe1 Fe 0.481 0.519 0.500
Fe2 Fe 0.982 0.943 0.625
Fe3 Fe 0.471 0.528 0.751
Fe4 Fe 0.037 0.035 0.875
Fe5 Fe 0.057 0.018 0.375
Fe6 Fe 0.965 0.963 0.125
Fe7 Fe 0.472 0.529 0.249
Fe8 Fe 0.538 0.462 0.000
F1 F 0.707 0.699 0.875
F2 F 0.801 0.199 0.252
F3 F 0.804 0.196 0.500
F4 F 0.700 0.712 0.375
F5 F 0.288 0.300 0.625
F6 F 0.205 0.795 0.000
F7 F 0.801 0.199 0.748
F8 F 0.301 0.293 0.125
O1 O 0.187 0.816 0.247
O2 O 0.684 0.676 0.125
O3 O 0.184 0.813 0.753
O4 O 0.192 0.808 0.500
O5 O 0.320 0.322 0.374
O6 O 0.324 0.316 0.875
O7 O 0.678 0.680 0.626
O8 O 0.823 0.177 0.000
```

symmetry: C2 (5)
E_form: -2038 meV per atom

Record 9
Here is an optimized crystal structure of Na2VO3 from the Materials Project. Energies are from GGA+U.

Structure (CIF):
```
data_Na2VO3
_chemical_formula_sum 'Na8 V4 O12'
_cell_length_a 4.985
_cell_length_b 11.057
_cell_length_c 6.397
_cell_angle_alpha 89.79
_cell_angle_beta 90.00
_cell_angle_gamma 90.00
_symmetry_space_group_name_H-M 'P 1'
_symmetry_Int_Tables_number 1
_symmetry_space_group_name_Hall 'P 1'
loop_
_atom_site_label
_atom_site_type_symbol
_atom_site_fract_x
_atom_site_fract_y
_atom_site_fract_z
O1 O 0.488 0.720 0.558
O2 O 0.488 0.581 0.142
O3 O 0.988 0.780 0.942
O4 O 0.488 0.081 0.642
O5 O 0.419 0.443 0.557
O6 O 0.988 0.419 0.858
O7 O 0.419 0.943 0.057
O8 O 0.488 0.220 0.058
O9 O 0.919 0.057 0.943
O10 O 0.988 0.280 0.442
O11 O 0.988 0.919 0.358
O12 O 0.919 0.557 0.443
Na1 Na 0.510 0.416 0.916
Na2 Na 0.510 0.916 0.416
Na3 Na 0.010 0.750 0.581
Na4 Na 0.510 0.250 0.419
Na5 Na 0.510 0.750 0.919
Na6 Na 0.010 0.584 0.084
Na7 Na 0.010 0.084 0.584
Na8 Na 0.010 0.250 0.081
V1 V 0.043 0.415 0.585
V2 V 0.543 0.085 0.915
V3 V 0.043 0.915 0.085
V4 V 0.543 0.585 0.415
```

E_form: -2263 meV per atom
piezoelectric modulus e_max: 1.19 C/m2

Record 10
Here is an optimized crystal structure of MgCr2Fe2O6 from the Materials Project. Energies are from GGA+U.

Structure (CIF):
```
data_MgCr2Fe2O6
_chemical_formula_sum 'Mg1 Cr2 Fe2 O6'
_cell_length_a 5.241
_cell_length_b 5.418
_cell_length_c 5.677
_cell_angle_alpha 63.92
_cell_angle_beta 64.83
_cell_angle_gamma 58.53
_symmetry_space_group_name_H-M 'P 1'
_symmetry_Int_Tables_number 1
_symmetry_space_group_name_Hall 'P 1'
loop_
_atom_site_label
_atom_site_type_symbol
_atom_site_fract_x
_atom_site_fract_y
_atom_site_fract_z
O1 O 0.616 0.920 0.209
O2 O 0.048 0.745 0.751
O3 O 0.265 0.612 0.247
O4 O 0.780 0.450 0.727
O5 O 0.435 0.033 0.719
O6 O 0.875 0.267 0.271
Fe1 Fe 0.009 0.016 0.942
Fe2 Fe 0.844 0.851 0.461
Mg1 Mg 0.220 0.221 0.375
Cr1 Cr 0.478 0.473 0.568
Cr2 Cr 0.667 0.663 0.003
```

symmetry: P1 (1)
E_form: -1887 meV per atom

Record 11
Here is an optimized crystal structure of LiVTeO5 from the Materials Project. Energies are from GGA+U.

Structure (CIF):
```
data_LiVTeO5
_chemical_formula_sum 'Li4 V4 Te4 O20'
_cell_length_a 5.221
_cell_length_b 8.481
_cell_length_c 9.658
_cell_angle_alpha 90.00
_cell_angle_beta 90.00
_cell_angle_gamma 90.00
_symmetry_space_group_name_H-M 'P 1'
_symmetry_Int_Tables_number 1
_symmetry_space_group_name_Hall 'P 1'
loop_
_atom_site_label
_atom_site_type_symbol
_atom_site_fract_x
_atom_site_fract_y
_atom_site_fract_z
Te1 Te 0.038 0.817 0.353
Te2 Te 0.962 0.317 0.147
Te3 Te 0.538 0.683 0.647
Te4 Te 0.462 0.183 0.853
O1 O 0.715 0.824 0.089
O2 O 0.688 0.176 0.081
O3 O 0.155 0.495 0.688
O4 O 0.188 0.324 0.919
O5 O 0.337 0.024 0.970
O6 O 0.812 0.824 0.581
O7 O 0.663 0.524 0.530
O8 O 0.714 0.600 0.809
O9 O 0.214 0.900 0.191
O10 O 0.285 0.324 0.411
O11 O 0.312 0.676 0.419
O12 O 0.286 0.100 0.691
O13 O 0.845 0.995 0.812
O14 O 0.163 0.976 0.470
O15 O 0.345 0.505 0.188
O16 O 0.655 0.005 0.312
O17 O 0.837 0.476 0.030
O18 O 0.215 0.676 0.911
O19 O 0.785 0.176 0.589
O20 O 0.786 0.400 0.309
V1 V 0.043 0.522 0.852
V2 V 0.457 0.478 0.352
V3 V 0.543 0.978 0.148
V4 V 0.957 0.022 0.648
Li1 Li 0.537 0.621 0.024
Li2 Li 0.963 0.379 0.524
Li3 Li 0.037 0.879 0.976
Li4 Li 0.463 0.121 0.476
```

symmetry: P2_12_12_1 (19)
E_form: -2077 meV per atom

Record 12
Here is an optimized crystal structure of Fe3O4F2 from the Materials Project. Energies are from GGA+U.

Structure (CIF):
```
data_Fe3O4F2
_chemical_formula_sum 'Fe6 O8 F4'
_cell_length_a 5.649
_cell_length_b 5.649
_cell_length_c 7.680
_cell_angle_alpha 68.60
_cell_angle_beta 68.60
_cell_angle_gamma 69.19
_symmetry_space_group_name_H-M 'P 1'
_symmetry_Int_Tables_number 1
_symmetry_space_group_name_Hall 'P 1'
loop_
_atom_site_label
_atom_site_type_symbol
_atom_site_fract_x
_atom_site_fract_y
_atom_site_fract_z
O1 O 0.697 0.307 0.000
O2 O 0.029 0.643 0.668
O3 O 0.354 0.970 0.334
O4 O 0.643 0.029 0.668
O5 O 0.307 0.697 0.000
O6 O 0.772 0.772 0.041
O7 O 0.970 0.354 0.334
O8 O 0.433 0.433 0.377
F1 F 0.893 0.893 0.299
F2 F 0.226 0.226 0.949
F3 F 0.568 0.568 0.623
F4 F 0.103 0.103 0.700
Fe1 Fe 0.340 0.340 0.655
Fe2 Fe 0.657 0.657 0.322
Fe3 Fe 0.997 0.997 0.495
Fe4 Fe 0.343 0.343 0.186
Fe5 Fe 0.676 0.676 0.854
Fe6 Fe 0.991 0.991 0.997
```

symmetry: Cm (8)
E_form: -1784 meV per atom